(1)
# ErNiC2 | the Materials Project database | r²SCAN | optimized geometry
data_ErNiC2
_symmetry_space_group_name_H-M 'A m m 2'
_symmetry_Int_Tables_number 38
_cell_length_a 3.523
_cell_length_b 4.470
_cell_length_c 5.950
_cell_angle_alpha 90.00
_cell_angle_beta 90.00
_cell_angle_gamma 90.00
loop_
_symmetry_equiv_pos_as_xyz
'x,y,z'
'-x,-y,z'
'-x,y,z'
'x,-y,z'
'x,y+1/2,z+1/2'
'-x,-y+1/2,z+1/2'
'-x,y+1/2,z+1/2'
'x,-y+1/2,z+1/2'
loop_
_atom_site_label
_atom_site_type_symbol
_atom_site_fract_x
_atom_site_fract_y
_atom_site_fract_z
Er1 Er 0.000 0.000 0.000
Ni1 Ni 0.500 0.000 0.610
C1 C 0.500 0.153 0.300
# ΔH_f (0 K) ... -0.45 eV per atom
# Total moment ... 0.000 μB/atom

***

(2)
# Rb3TbCl6 | the Materials Project database | r²SCAN | optimized geometry
data_Rb3TbCl6
_symmetry_space_group_name_H-M 'C 1 2/c 1'
_symmetry_Int_Tables_number 15
_cell_length_a 25.821
_cell_length_b 7.955
_cell_length_c 12.822
_cell_angle_alpha 90.00
_cell_angle_beta 99.34
_cell_angle_gamma 90.00
loop_
_symmetry_equiv_pos_as_xyz
'x,y,z'
'-x,-y,-z'
'-x,y,-z+1/2'
'x,-y,z+1/2'
'x+1/2,y+1/2,z'
'-x+1/2,-y+1/2,-z'
'-x+1/2,y+1/2,-z+1/2'
'x+1/2,-y+1/2,z+1/2'
loop_
_atom_site_label
_atom_site_type_symbol
_atom_site_fract_x
_atom_site_fract_y
_atom_site_fract_z
Rb1 Rb 0.052 0.244 0.437
Rb2 Rb 0.154 0.317 0.145
Rb3 Rb 0.162 0.184 0.803
Tb1 Tb 0.000 0.205 0.750
Tb2 Tb 0.250 0.250 0.500
Cl1 Cl 0.057 0.214 0.939
Cl2 Cl 0.061 0.045 0.204
Cl3 Cl 0.061 0.429 0.678
Cl4 Cl 0.171 0.452 0.422
Cl5 Cl 0.176 0.036 0.534
Cl6 Cl 0.250 0.113 0.310
# ΔH_f (0 K) ... -2.38 eV per atom
# Total moment ... 0.000 μB/atom

***

(3)
# Sr19In8N7 | the Materials Project database | r²SCAN | optimized geometry
data_Sr19In8N7
_symmetry_space_group_name_H-M 'F m -3 m'
_symmetry_Int_Tables_number 225
_symmetry_space_group_name_Hall '-F 4 2 3'
_cell_length_a 15.659
_cell_length_b 15.659
_cell_length_c 15.659
_cell_angle_alpha 90.00
_cell_angle_beta 90.00
_cell_angle_gamma 90.00
loop_
_atom_site_label
_atom_site_type_symbol
_atom_site_fract_x
_atom_site_fract_y
_atom_site_fract_z
Sr1 Sr 0.000 0.000 0.000
Sr2 Sr 0.000 0.000 0.333
Sr3 Sr 0.000 0.165 0.165
In1 In 0.179 0.179 0.321
N1 N 0.000 0.000 0.174
N2 N 0.000 0.000 0.500
# ΔH_f (0 K) ... -0.65 eV per atom
# Total moment ... 0.000 μB/atom

***

Question: What is the formula in the second record?
Answer: Rb3TbCl6

***

Question: Which of these has the highest ΔH_f (0 K)?
Answer: ErNiC2

***

Repeat the third record exactly.
# Sr19In8N7 | the Materials Project database | r²SCAN | optimized geometry
data_Sr19In8N7
_symmetry_space_group_name_H-M 'F m -3 m'
_symmetry_Int_Tables_number 225
_symmetry_space_group_name_Hall '-F 4 2 3'
_cell_length_a 15.659
_cell_length_b 15.659
_cell_length_c 15.659
_cell_angle_alpha 90.00
_cell_angle_beta 90.00
_cell_angle_gamma 90.00
loop_
_atom_site_label
_atom_site_type_symbol
_atom_site_fract_x
_atom_site_fract_y
_atom_site_fract_z
Sr1 Sr 0.000 0.000 0.000
Sr2 Sr 0.000 0.000 0.333
Sr3 Sr 0.000 0.165 0.165
In1 In 0.179 0.179 0.321
N1 N 0.000 0.000 0.174
N2 N 0.000 0.000 0.500
# ΔH_f (0 K) ... -0.65 eV per atom
# Total moment ... 0.000 μB/atom